1.
Compound: CsNi2F6
Source: Materials Project
Functional: PBE+U
Structure: optimized geometry

Structure (POSCAR):
```
CsNi2F6
1.0
3.7289 -3.7268 5.0264
4.2474 3.5335 4.7469
-1.9298 0.4078 7.0120
Ni F Cs
4 12 2
direct
0.6250 0.6250 0.6250
0.1250 0.6250 0.6250
0.6250 0.1250 0.6250
0.6250 0.6250 0.1250
0.6940 0.3060 0.3060
0.3060 0.6940 0.6940
0.5560 0.5560 0.9440
0.5560 0.9440 0.9440
0.5560 0.9440 0.5560
0.3060 0.6940 0.3060
0.9440 0.5560 0.9440
0.9440 0.5560 0.5560
0.9440 0.9440 0.5560
0.6940 0.3060 0.6940
0.6940 0.6940 0.3060
0.3060 0.3060 0.6940
0.2500 0.2500 0.2500
0.0000 0.0000 0.0000
```

* total DFT energy (no corrections): -74.5 eV/cell
* DFT formation energy: -2348 meV per atom
* symmetry: No. 227

2.
Compound: Li9Mn2Co5O16
Source: Materials Project
Functional: PBE+U
Structure: optimized geometry

Structure (POSCAR):
```
Li9Mn2Co5O16
1.0
2.5530 0.0000 -1.3184
1.9010 39.3845 0.5501
-0.0751 0.0880 2.9858
Mn O Co Li
2 16 5 9
direct
0.4982 0.1254 0.1218
0.0018 0.9994 0.0030
0.6020 0.0288 0.2328
0.8849 0.3467 0.1166
0.8979 0.0958 0.8916
0.8698 0.5991 0.3387
0.1008 0.1543 0.3558
0.3897 0.7230 0.5024
0.4019 0.9701 0.7739
0.1265 0.6550 0.9080
0.3770 0.4670 0.2210
0.1196 0.3999 0.6391
0.8672 0.8464 0.5808
0.1326 0.9025 0.1677
0.6238 0.5323 0.7799
0.3657 0.2219 0.9533
0.6330 0.2793 0.5452
0.6076 0.7782 0.9933
0.4990 0.6261 0.6241
0.4988 0.3741 0.3716
0.5003 0.8743 0.8748
0.0005 0.7502 0.7512
0.9993 0.2507 0.2493
0.2503 0.0625 0.5631
0.7440 0.1893 0.6772
0.7398 0.4388 0.9185
0.2519 0.8114 0.3152
0.2587 0.5619 0.0793
0.7549 0.9362 0.4461
0.0008 0.4998 0.5014
0.2512 0.3123 0.8147
0.7505 0.6875 0.1886
```

* total DFT energy (no corrections): -182.3 eV/cell
* DFT formation energy: -1706 meV per atom
* polymorph energy (0 for the lowest one): 0.158 eV per atom
* symmetry: No. 8

Question: Look up the DFT formation energy of the second one.
Answer: -1706 meV per atom

Question: What is the formula in the second record?
Answer: Li9Mn2Co5O16

Question: DFT formation energy of number 1 (CsNi2F6)?
Answer: -2348 meV per atom